The following is a PBE-GGA calculation of crystalline Zr5ZnSb3 at its relaxed geometry, from the Materials Project.

Computed properties:
V	383.11	Å³ per cell
E	-125.70	eV per cell
formation energy from the elements	-782.4	meV/atom

Cell lengths 8.6700, 8.6700, 5.8851 Å; angles 90.00, 90.00, 120.00 degrees
Sites, in units of the cell vectors:
1 Zr 0.0000 0.2691 0.2500
2 Zr 0.0000 0.7309 0.7500
3 Zr 0.2691 0.0000 0.2500
4 Zr 0.2691 0.2691 0.7500
5 Zr 0.3333 0.6667 0.0000
6 Zr 0.3333 0.6667 0.5000
7 Zr 0.6667 0.3333 0.0000
8 Zr 0.6667 0.3333 0.5000
9 Zr 0.7309 0.0000 0.7500
10 Zr 0.7309 0.7309 0.2500
11 Zn 0.0000 0.0000 0.0000
12 Zn 0.0000 0.0000 0.5000
13 Sb 0.0000 0.3853 0.7500
14 Sb 0.0000 0.6147 0.2500
15 Sb 0.3853 0.0000 0.7500
16 Sb 0.3853 0.3853 0.2500
17 Sb 0.6147 0.0000 0.2500
18 Sb 0.6147 0.6147 0.7500